[1]
Entry from Materials Project: a relaxed structure of LiSbP4O12 (GGA-PBE).

**SG**: No. 4
**E above lowest polymorph**: 43.0 meV/atom
**Largest piezoelectric modulus**: 0.35 C/m2

a b c (Å): 14.208 5.570 7.504
angles (deg): 83.98 90.00 90.00
Fractional positions:
P  0.598  0.031  0.434
O  0.603  0.283  0.490
P  0.884  0.995  0.564
O  0.107  0.130  0.071
P  0.316  0.779  0.113
O  0.493  0.927  0.453
P  0.384  0.005  0.436
O  0.607  0.870  0.929
O  0.993  0.073  0.547
O  0.658  0.839  0.537
O  0.374  0.267  0.469
P  0.098  0.969  0.566
Li  0.503  0.681  0.892
O  0.833  0.182  0.440
O  0.617  0.049  0.223
O  0.394  0.660  0.023
O  0.761  0.053  0.037
O  0.706  0.655  0.187
O  0.247  0.622  0.227
Li  0.003  0.319  0.108
O  0.894  0.340  0.977
O  0.261  0.947  0.963
O  0.206  0.345  0.813
Sb  0.239  0.486  0.516
O  0.747  0.378  0.773
O  0.158  0.161  0.463
O  0.103  0.717  0.510
P  0.170  0.115  0.915
P  0.670  0.885  0.085
O  0.333  0.818  0.560
Sb  0.739  0.514  0.484
O  0.874  0.733  0.531
P  0.816  0.221  0.887
O  0.117  0.951  0.777
O  0.359  0.983  0.230
O  0.859  0.017  0.770

[2]
Entry from Materials Project: a relaxed structure of Li3Sb2P3O12 (GGA-PBE).

**SG**: No. 14
**E above lowest polymorph**: 13.0 meV/atom

a b c (Å): 9.324 8.814 15.427
angles (deg): 55.89 90.00 90.00
Fractional positions:
O  0.637  0.522  0.949
Sb  0.473  0.869  0.403
Li  0.722  0.638  0.683
O  0.251  0.620  0.198
P  0.258  0.454  0.491
Li  0.278  0.362  0.317
O  0.535  0.329  0.415
O  0.621  0.072  0.398
Sb  0.455  0.665  0.096
O  0.105  0.922  0.451
O  0.026  0.997  0.273
O  0.249  0.620  0.698
O  0.121  0.928  0.102
O  0.071  0.256  0.300
O  0.666  0.368  0.593
O  0.367  0.321  0.580
Sb  0.527  0.131  0.597
O  0.035  0.671  0.085
Li  0.412  0.228  0.186
O  0.965  0.329  0.915
P  0.758  0.546  0.009
Li  0.011  0.411  0.151
Li  0.088  0.228  0.686
O  0.429  0.256  0.800
O  0.137  0.478  0.551
P  0.603  0.281  0.340
O  0.804  0.643  0.560
O  0.133  0.321  0.080
O  0.751  0.380  0.302
Li  0.489  0.411  0.651
P  0.242  0.454  0.991
O  0.749  0.380  0.802
Li  0.912  0.772  0.314
P  0.879  0.941  0.669
O  0.867  0.679  0.920
O  0.506  0.641  0.753
O  0.929  0.744  0.700
Sb  0.027  0.869  0.903
O  0.363  0.478  0.051
O  0.474  0.997  0.773
P  0.397  0.719  0.660
Sb  0.545  0.335  0.904
O  0.334  0.632  0.407
O  0.280  0.083  0.300
Li  0.588  0.772  0.814
P  0.897  0.281  0.840
O  0.994  0.641  0.253
Li  0.989  0.589  0.849
O  0.720  0.917  0.700
O  0.006  0.359  0.747
O  0.780  0.917  0.200
O  0.834  0.368  0.093
Li  0.511  0.589  0.349
Sb  0.973  0.131  0.097
O  0.879  0.072  0.898
O  0.494  0.359  0.247
O  0.571  0.744  0.200
O  0.863  0.522  0.449
O  0.304  0.357  0.940
P  0.621  0.941  0.169
O  0.895  0.078  0.549
O  0.633  0.679  0.420
O  0.605  0.078  0.049
O  0.526  0.003  0.227
O  0.220  0.083  0.800
P  0.379  0.059  0.831
Sb  0.045  0.665  0.596
O  0.696  0.643  0.060
Sb  0.955  0.335  0.404
O  0.196  0.357  0.440
O  0.395  0.922  0.951
P  0.103  0.719  0.160
O  0.166  0.632  0.907
P  0.742  0.546  0.509
O  0.465  0.671  0.585
Li  0.778  0.638  0.183
O  0.974  0.003  0.727
Li  0.222  0.362  0.817
P  0.121  0.059  0.331
O  0.379  0.928  0.602

[3]
Entry from Materials Project: a relaxed structure of Li3Sb2P5O18 (GGA-PBE).

**SG**: No. 1
**E above lowest polymorph**: 0.0 meV/atom

a b c (Å): 6.579 9.788 11.039
angles (deg): 95.77 92.90 91.14
Fractional positions:
O  0.429  0.031  0.312
O  0.211  0.437  0.559
O  0.542  0.357  0.423
Li  0.348  0.360  0.837
Li  0.980  0.981  0.123
O  0.024  0.340  0.804
O  0.782  0.826  0.535
P  0.225  0.016  0.387
O  0.971  0.005  0.685
O  0.367  0.168  0.759
O  0.234  0.528  0.317
O  0.254  0.920  0.483
Li  0.650  0.634  0.166
Sb  0.674  0.230  0.044
O  0.269  0.255  0.222
O  0.459  0.648  0.584
O  0.647  0.081  0.900
Sb  0.316  0.764  0.956
O  0.790  0.565  0.444
O  0.093  0.674  0.634
P  0.150  0.572  0.190
O  0.768  0.475  0.687
Li  0.885  0.821  0.336
O  0.973  0.664  0.204
P  0.725  0.425  0.363
O  0.639  0.712  0.988
Sb  0.232  0.349  0.390
O  0.753  0.076  0.501
O  0.004  0.173  0.055
O  0.676  0.050  0.149
O  0.917  0.332  0.370
O  0.325  0.620  0.118
O  0.667  0.455  0.235
O  0.751  0.754  0.779
O  0.219  0.169  0.456
O  0.668  0.381  0.883
O  0.588  0.976  0.681
P  0.172  0.281  0.095
P  0.480  0.046  0.796
P  0.784  0.985  0.599
O  0.333  0.542  0.769
O  0.629  0.825  0.240
Sb  0.769  0.653  0.611
O  0.346  0.916  0.100
P  0.279  0.573  0.641
O  0.340  0.284  0.006
P  0.846  0.432  0.816
Li  0.191  0.882  0.642
O  0.930  0.577  0.893
Li  0.097  0.183  0.690
O  0.051  0.980  0.295
O  0.063  0.426  0.113
P  0.822  0.723  0.910
O  0.342  0.925  0.827
P  0.526  0.949  0.199
O  0.981  0.827  0.970

[4]
Entry from Materials Project: a relaxed structure of Li3Sb2P3O12 (GGA-PBE).

**SG**: No. 15
**E above lowest polymorph**: 17.3 meV/atom

a b c (Å): 8.838 8.838 9.080
angles (deg): 63.50 63.50 63.30
Fractional positions:
Sb  0.342  0.854  0.856
O  0.755  0.012  0.386
P  0.048  0.246  0.927
O  0.436  0.439  0.689
O  0.925  0.184  0.902
Li  0.820  0.538  0.714
O  0.561  0.564  0.811
Li  0.462  0.180  0.786
P  0.583  0.417  0.750
Li  0.117  0.883  0.250
O  0.075  0.816  0.098
O  0.245  0.988  0.614
O  0.038  0.437  0.793
O  0.882  0.755  0.617
P  0.246  0.048  0.427
O  0.816  0.075  0.598
O  0.988  0.245  0.114
O  0.439  0.436  0.189
O  0.563  0.962  0.707
O  0.245  0.118  0.883
O  0.755  0.882  0.117
P  0.952  0.754  0.073
O  0.564  0.561  0.311
O  0.012  0.755  0.886
O  0.772  0.401  0.604
Li  0.180  0.462  0.286
Li  0.538  0.820  0.214
Sb  0.146  0.658  0.644
O  0.401  0.772  0.104
O  0.599  0.228  0.896
P  0.754  0.952  0.573
O  0.118  0.245  0.383
O  0.962  0.563  0.207
O  0.184  0.925  0.402
Sb  0.658  0.146  0.144
O  0.228  0.599  0.396
Li  0.883  0.117  0.750
O  0.437  0.038  0.293
P  0.417  0.583  0.250
Sb  0.854  0.342  0.356

[5]
Entry from Materials Project: a relaxed structure of LiSb2P3O11 (GGA-PBE).

**SG**: No. 5
**Final energy**: -227.43 eV/cell

a b c (Å): 7.592 7.592 9.255
angles (deg): 71.30 71.30 76.64
Fractional positions:
O  0.244  0.962  0.508
P  0.429  0.310  0.484
O  0.894  0.984  0.653
O  0.264  0.541  0.813
O  0.405  0.235  0.987
Sb  0.352  0.869  0.703
P  0.690  0.571  0.516
Li  0.028  0.491  0.700
O  0.133  0.451  0.114
O  0.973  0.240  0.997
O  0.999  0.894  0.153
Li  0.509  0.972  0.300
Sb  0.131  0.648  0.297
O  0.596  0.777  0.488
P  0.038  0.962  0.500
O  0.106  0.001  0.847
Sb  0.651  0.127  0.807
P  0.311  0.438  0.970
O  0.544  0.456  0.500
O  0.864  0.550  0.372
O  0.740  0.482  0.672
O  0.016  0.106  0.347
O  0.450  0.136  0.628
O  0.518  0.260  0.328
P  0.562  0.689  0.030
O  0.765  0.595  0.013
Sb  0.873  0.349  0.193
O  0.450  0.550  0.000
O  0.760  0.027  0.003
O  0.038  0.756  0.492
O  0.223  0.404  0.512
P  0.967  0.033  0.000
O  0.459  0.736  0.187
O  0.549  0.867  0.886

[6]
Entry from Materials Project: a relaxed structure of LiSbP2O8 (GGA-PBE).

**SG**: No. 11
**Final energy**: -158.88 eV/cell

a b c (Å): 5.901 4.895 10.044
angles (deg): 89.32 90.00 90.00
Fractional positions:
P  0.750  0.927  0.407
O  0.750  0.281  0.873
O  0.250  0.190  0.445
O  0.950  0.748  0.824
Sb  0.750  0.022  0.723
O  0.250  0.365  0.949
O  0.959  0.784  0.335
P  0.250  0.073  0.593
Sb  0.250  0.978  0.277
Li  0.250  0.554  0.773
O  0.450  0.252  0.176
O  0.541  0.784  0.335
P  0.750  0.595  0.904
O  0.750  0.635  0.051
O  0.550  0.748  0.824
O  0.750  0.231  0.399
O  0.750  0.810  0.555
O  0.250  0.719  0.127
Li  0.750  0.446  0.227
O  0.050  0.252  0.176
O  0.041  0.216  0.665
O  0.250  0.769  0.601
P  0.250  0.405  0.096
O  0.459  0.216  0.665

[7]
Entry from Materials Project: a relaxed structure of LiSbP4O12 (GGA-PBE).

**SG**: No. 14
**E above lowest polymorph**: 80.4 meV/atom

a b c (Å): 9.285 10.084 12.428
angles (deg): 55.59 90.00 90.00
Fractional positions:
O  0.963  0.312  0.328
O  0.525  0.802  0.794
O  0.236  0.019  0.758
P  0.117  0.109  0.661
O  0.736  0.981  0.742
O  0.022  0.012  0.627
O  0.190  0.255  0.527
P  0.006  0.506  0.761
P  0.124  0.709  0.299
O  0.553  0.844  0.468
O  0.158  0.412  0.827
O  0.712  0.331  0.086
O  0.677  0.208  0.336
Li  0.681  0.241  0.482
O  0.260  0.140  0.899
O  0.240  0.140  0.399
O  0.037  0.545  0.334
O  0.323  0.792  0.664
P  0.624  0.291  0.201
P  0.617  0.891  0.839
O  0.288  0.669  0.914
O  0.478  0.012  0.127
P  0.317  0.229  0.450
O  0.053  0.156  0.032
O  0.690  0.745  0.973
O  0.025  0.198  0.706
O  0.900  0.468  0.866
O  0.342  0.412  0.327
Li  0.181  0.759  0.018
O  0.788  0.331  0.586
O  0.400  0.532  0.634
O  0.600  0.468  0.366
P  0.876  0.291  0.701
P  0.494  0.506  0.261
O  0.740  0.860  0.101
Li  0.819  0.241  0.982
O  0.463  0.545  0.834
P  0.506  0.494  0.739
P  0.994  0.494  0.239
O  0.842  0.588  0.173
O  0.658  0.588  0.673
O  0.100  0.532  0.134
O  0.522  0.988  0.873
O  0.177  0.792  0.164
O  0.810  0.745  0.473
P  0.383  0.109  0.161
O  0.537  0.455  0.166
O  0.463  0.688  0.172
O  0.975  0.802  0.294
O  0.212  0.669  0.414
O  0.310  0.255  0.027
O  0.823  0.208  0.836
O  0.764  0.981  0.242
O  0.978  0.988  0.373
O  0.447  0.156  0.532
O  0.264  0.019  0.258
Sb  0.593  0.801  0.246
P  0.183  0.229  0.950
O  0.037  0.688  0.672
P  0.883  0.891  0.339
O  0.537  0.312  0.828
Li  0.319  0.759  0.518
O  0.475  0.198  0.206
Sb  0.093  0.199  0.254
P  0.817  0.771  0.050
O  0.760  0.860  0.601
P  0.683  0.771  0.550
Sb  0.407  0.199  0.754
Sb  0.907  0.801  0.746
O  0.947  0.844  0.968
O  0.963  0.455  0.666
P  0.376  0.709  0.799

[8]
Entry from Materials Project: a relaxed structure of LiSbP4O12 (GGA-PBE).

**SG**: No. 4
**E above lowest polymorph**: 49.0 meV/atom
**Largest piezoelectric modulus**: 1.71 C/m2

a b c (Å): 8.607 7.072 7.856
angles (deg): 88.91 90.00 90.00
Fractional positions:
O  0.665  0.455  0.340
O  0.700  0.021  0.075
O  0.810  0.989  0.783
P  0.509  0.393  0.407
P  0.673  0.087  0.893
O  0.310  0.011  0.217
O  0.001  0.183  0.597
O  0.847  0.577  0.041
O  0.018  0.314  0.931
Li  0.904  0.287  0.348
O  0.460  0.440  0.584
O  0.019  0.938  0.190
Sb  0.728  0.759  0.229
O  0.372  0.462  0.277
P  0.898  0.009  0.604
O  0.200  0.979  0.925
O  0.165  0.545  0.660
O  0.720  0.310  0.886
O  0.347  0.423  0.959
O  0.501  0.817  0.403
O  0.220  0.690  0.114
O  0.518  0.686  0.069
P  0.374  0.566  0.094
O  0.508  0.170  0.377
P  0.874  0.434  0.906
O  0.960  0.560  0.416
P  0.173  0.913  0.107
O  0.872  0.538  0.723
O  0.791  0.000  0.454
Sb  0.228  0.241  0.771
O  0.519  0.062  0.810
Li  0.404  0.713  0.652
O  0.291  0.000  0.546
P  0.009  0.607  0.593
P  0.398  0.991  0.396
O  0.008  0.830  0.623